Record 1
Here is an optimized crystal structure of Ca2BiWO6 from the Materials Project database. Energies are from PBE+U.

abc: 5.807 5.807 8.575
angles: 90.00 90.00 90.00
Positions (direct):
Bi1 0.500 0.500 0.500
Bi2 0.000 0.000 0.000
O1 0.360 0.815 0.000
O2 0.685 0.140 0.500
O3 0.000 0.000 0.735
O4 0.640 0.185 0.000
O5 0.185 0.360 0.000
O6 0.500 0.500 0.765
O7 0.140 0.315 0.500
O8 0.315 0.860 0.500
O9 0.500 0.500 0.235
O10 0.860 0.685 0.500
O11 0.815 0.640 0.000
O12 0.000 0.000 0.265
W1 0.500 0.500 0.000
W2 0.000 0.000 0.500
Ca1 0.000 0.500 0.250
Ca2 0.000 0.500 0.750
Ca3 0.500 0.000 0.250
Ca4 0.500 0.000 0.750

- Energy above the most stable polymorph in this dataset: 0.190 eV per atom
- SG: P4/mnc, No. 128
- DFT total energy: -6.563 eV/atom
- E (MP2020): -148.4 eV/cell
- E_form: -2.36 eV/atom


Record 2
Here is an optimized crystal structure of CaBiWO5 from the Materials Project database. Energies are from PBE+U.

abc: 5.563 11.687 16.467
angles: 90.00 90.00 90.00
Positions (direct):
W1 0.498 0.098 0.405
W2 0.502 0.902 0.595
W3 0.498 0.598 0.095
W4 0.502 0.402 0.905
W5 0.998 0.402 0.405
W6 0.998 0.902 0.095
W7 0.002 0.098 0.905
W8 0.002 0.598 0.595
Ca1 0.502 0.359 0.555
Ca2 0.002 0.141 0.555
Ca3 0.998 0.859 0.445
Ca4 0.502 0.859 0.945
Ca5 0.498 0.641 0.445
Ca6 0.498 0.141 0.055
Ca7 0.998 0.359 0.055
Ca8 0.002 0.641 0.945
O1 0.356 0.298 0.975
O2 0.677 0.469 0.133
O3 0.448 0.673 0.197
O4 0.761 0.229 0.154
O5 0.823 0.469 0.633
O6 0.279 0.535 0.549
O7 0.261 0.771 0.346
O8 0.552 0.327 0.803
O9 0.948 0.827 0.197
O10 0.948 0.327 0.303
O11 0.356 0.798 0.525
O12 0.779 0.465 0.951
O13 0.177 0.531 0.367
O14 0.239 0.771 0.846
O15 0.239 0.271 0.654
O16 0.739 0.229 0.654
O17 0.823 0.969 0.867
O18 0.261 0.271 0.154
O19 0.323 0.531 0.867
O20 0.052 0.173 0.803
O21 0.644 0.702 0.025
O22 0.177 0.031 0.133
O23 0.144 0.798 0.025
O24 0.677 0.969 0.367
O25 0.144 0.298 0.475
O26 0.221 0.035 0.451
O27 0.856 0.202 0.975
O28 0.739 0.729 0.846
O29 0.221 0.535 0.049
O30 0.323 0.031 0.633
O31 0.721 0.465 0.451
O32 0.779 0.965 0.549
O33 0.052 0.673 0.697
O34 0.644 0.202 0.475
O35 0.721 0.965 0.049
O36 0.552 0.827 0.697
O37 0.856 0.702 0.525
O38 0.279 0.035 0.951
O39 0.448 0.173 0.303
O40 0.761 0.729 0.346
Bi1 0.554 0.340 0.230
Bi2 0.554 0.840 0.270
Bi3 0.946 0.340 0.730
Bi4 0.054 0.660 0.270
Bi5 0.446 0.660 0.770
Bi6 0.446 0.160 0.730
Bi7 0.054 0.160 0.230
Bi8 0.946 0.840 0.770

- Energy above the most stable polymorph in this dataset: 0.000 eV per atom
- SG: Pbca, No. 61
- DFT total energy: -6.743 eV/atom
- E (MP2020): -494.5 eV/cell
- E_form: -2.28 eV/atom


Record 3
Here is an optimized crystal structure of Ca2BiWO6 from the Materials Project database. Energies are from PBE+U.

abc: 6.240 6.240 6.240
angles: 55.86 55.86 55.86
Positions (direct):
O1 0.627 0.158 0.924
O2 0.158 0.924 0.627
O3 0.757 0.042 0.334
O4 0.042 0.334 0.757
O5 0.334 0.757 0.042
O6 0.924 0.627 0.158
W1 0.989 0.989 0.989
Ca1 0.784 0.784 0.784
Ca2 0.306 0.306 0.306
Bi1 0.547 0.547 0.547

- Energy above the most stable polymorph in this dataset: 0.053 eV per atom
- SG: R3, No. 146
- DFT total energy: -6.700 eV/atom
- E (MP2020): -75.6 eV/cell
- E_form: -2.50 eV/atom


Record 4
Here is an optimized crystal structure of Ca2BiWO6 from the Materials Project database. Energies are from PBE+U.

abc: 6.021 6.021 6.021
angles: 60.00 60.00 60.00
Positions (direct):
O1 0.732 0.732 0.268
O2 0.732 0.268 0.268
O3 0.732 0.268 0.732
O4 0.268 0.732 0.268
O5 0.268 0.732 0.732
O6 0.268 0.268 0.732
Ca1 0.250 0.250 0.250
Ca2 0.750 0.750 0.750
Bi1 0.000 0.000 0.000
W1 0.500 0.500 0.500

- Energy above the most stable polymorph in this dataset: 0.362 eV per atom
- SG: Fm-3m, No. 225
- DFT total energy: -6.392 eV/atom
- E (MP2020): -72.5 eV/cell
- E_form: -2.19 eV/atom


Record 5
Here is an optimized crystal structure of Ca2BiWO6 from the Materials Project database. Energies are from PBE+U.

abc: 5.960 5.674 10.001
angles: 56.05 90.00 90.00
Positions (direct):
O1 0.170 0.727 0.557
O2 0.936 0.852 0.272
O3 0.712 0.591 0.575
O4 0.830 0.273 0.443
O5 0.212 0.409 0.925
O6 0.288 0.409 0.425
O7 0.064 0.148 0.728
O8 0.436 0.148 0.228
O9 0.564 0.852 0.772
O10 0.670 0.273 0.943
O11 0.330 0.727 0.057
O12 0.788 0.591 0.075
Ca1 0.556 0.739 0.248
Ca2 0.444 0.261 0.752
Ca3 0.944 0.739 0.748
Ca4 0.056 0.261 0.252
W1 0.500 0.500 0.000
W2 0.000 0.500 0.500
Bi1 0.000 0.000 0.000
Bi2 0.500 0.000 0.500

- Energy above the most stable polymorph in this dataset: 0.000 eV per atom
- SG: P2_1/c, No. 14
- DFT total energy: -6.754 eV/atom
- E (MP2020): -152.2 eV/cell
- E_form: -2.55 eV/atom


Record 6
Here is an optimized crystal structure of VCdBiO5 from the Materials Project database. Energies are from PBE+U.

abc: 5.586 11.884 14.499
angles: 90.00 90.00 90.00
Positions (direct):
O1 0.032 0.291 0.863
O2 0.018 0.397 0.585
O3 0.430 0.717 0.064
O4 0.948 0.067 0.083
O5 0.532 0.791 0.637
O6 0.930 0.217 0.436
O7 0.125 0.572 0.166
O8 0.340 0.198 0.158
O9 0.133 0.753 0.758
O10 0.875 0.072 0.834
O11 0.468 0.291 0.363
O12 0.660 0.698 0.842
O13 0.840 0.698 0.342
O14 0.633 0.253 0.742
O15 0.589 0.481 0.901
O16 0.867 0.253 0.242
O17 0.359 0.013 0.765
O18 0.518 0.377 0.579
O19 0.625 0.072 0.334
O20 0.482 0.877 0.421
O21 0.448 0.567 0.417
O22 0.641 0.513 0.235
O23 0.859 0.513 0.735
O24 0.089 0.981 0.599
O25 0.375 0.572 0.666
O26 0.982 0.897 0.415
O27 0.518 0.897 0.915
O28 0.070 0.717 0.564
O29 0.482 0.397 0.085
O30 0.160 0.198 0.658
O31 0.911 0.481 0.401
O32 0.982 0.377 0.079
O33 0.367 0.753 0.258
O34 0.552 0.067 0.583
O35 0.570 0.217 0.936
O36 0.411 0.981 0.099
O37 0.968 0.791 0.137
O38 0.052 0.567 0.917
O39 0.141 0.013 0.265
O40 0.018 0.877 0.921
V1 0.227 0.713 0.157
V2 0.273 0.713 0.657
V3 0.727 0.213 0.343
V4 0.773 0.213 0.843
V5 0.295 0.064 0.654
V6 0.205 0.064 0.154
V7 0.705 0.564 0.346
V8 0.795 0.564 0.846
Bi1 0.728 0.878 0.302
Bi2 0.756 0.530 0.087
Bi3 0.228 0.378 0.198
Bi4 0.244 0.030 0.913
Bi5 0.256 0.030 0.413
Bi6 0.772 0.878 0.802
Bi7 0.272 0.378 0.698
Bi8 0.744 0.530 0.587
Cd1 0.715 0.229 0.087
Cd2 0.785 0.229 0.587
Cd3 0.240 0.388 0.456
Cd4 0.740 0.888 0.044
Cd5 0.260 0.388 0.956
Cd6 0.215 0.729 0.413
Cd7 0.285 0.729 0.913
Cd8 0.760 0.888 0.544

- SG: Pna2_1, No. 33
- DFT total energy: -6.168 eV/atom
- E (MP2020): -435.8 eV/cell
- E_form: -1.98 eV/atom


Record 7
Here is an optimized crystal structure of CeBiW2O9 from the Materials Project database. Energies are from PBE+U.

abc: 7.225 7.225 13.896
angles: 80.79 80.79 87.87
Positions (direct):
O1 0.113 0.887 0.750
O2 0.362 0.638 0.750
O3 0.395 0.146 0.996
O4 0.217 0.819 0.117
O5 0.139 0.283 0.703
O6 0.005 0.492 0.141
O7 0.605 0.854 0.004
O8 0.181 0.783 0.383
O9 0.167 0.991 0.551
O10 0.542 0.308 0.448
O11 0.819 0.217 0.617
O12 0.995 0.508 0.859
O13 0.717 0.861 0.797
O14 0.458 0.692 0.552
O15 0.009 0.833 0.949
O16 0.484 0.245 0.806
O17 0.692 0.458 0.052
O18 0.350 0.913 0.870
O19 0.783 0.181 0.883
O20 0.755 0.516 0.694
O21 0.833 0.009 0.449
O22 0.146 0.395 0.496
O23 0.492 0.005 0.641
O24 0.650 0.087 0.130
O25 0.887 0.113 0.250
O26 0.991 0.167 0.051
O27 0.283 0.139 0.203
O28 0.516 0.755 0.194
O29 0.861 0.717 0.297
O30 0.308 0.542 0.948
O31 0.087 0.650 0.630
O32 0.913 0.350 0.370
O33 0.638 0.362 0.250
O34 0.854 0.605 0.504
O35 0.508 0.995 0.359
O36 0.245 0.484 0.306
Ce1 0.172 0.125 0.383
Ce2 0.828 0.875 0.617
Ce3 0.125 0.172 0.883
Ce4 0.875 0.828 0.117
Bi1 0.345 0.526 0.138
Bi2 0.526 0.345 0.638
Bi3 0.655 0.474 0.862
Bi4 0.474 0.655 0.362
W1 0.413 0.996 0.118
W2 0.308 0.834 0.635
W3 0.692 0.166 0.365
W4 0.166 0.692 0.865
W5 0.996 0.413 0.618
W6 0.004 0.587 0.382
W7 0.587 0.004 0.882
W8 0.834 0.308 0.135

- SG: C2/c, No. 15
- DFT total energy: -7.460 eV/atom
- E (MP2020): -448.2 eV/cell
- E_form: -2.44 eV/atom


Record 8
Here is an optimized crystal structure of LiBi3PbWClO8 from the Materials Project database. Energies are from PBE+U.

abc: 4.127 4.084 14.989
angles: 90.00 90.00 90.00
Positions (direct):
Pb1 0.500 0.500 0.831
O1 0.000 0.500 0.028
O2 0.000 0.500 0.734
O3 0.000 0.500 0.246
O4 0.500 0.000 0.732
O5 0.000 0.000 0.144
O6 0.500 0.000 0.251
O7 0.500 0.000 0.029
O8 0.000 0.000 0.888
Cl1 0.500 0.500 0.504
W1 0.000 0.000 0.012
Bi1 0.000 0.000 0.297
Bi2 0.500 0.500 0.145
Bi3 0.000 0.000 0.673
Li1 0.500 0.000 0.443

- Energy above the most stable polymorph in this dataset: 0.121 eV per atom
- SG: Pmm2, No. 25
- DFT total energy: -5.716 eV/atom
- E (MP2020): -95.7 eV/cell
- E_form: -1.60 eV/atom


Record 9
Here is an optimized crystal structure of LiBi3PbWClO8 from the Materials Project database. Energies are from PBE+U.

abc: 3.987 3.987 14.926
angles: 90.00 90.00 90.00
Positions (direct):
O1 0.000 0.500 0.699
O2 0.500 0.000 0.699
O3 0.000 0.000 0.144
O4 0.000 0.500 0.287
O5 0.000 0.500 0.015
O6 0.000 0.000 0.882
O7 0.500 0.000 0.287
O8 0.500 0.000 0.015
Pb1 0.500 0.500 0.795
W1 0.000 0.000 0.008
Bi1 0.500 0.500 0.198
Bi2 0.000 0.000 0.362
Bi3 0.000 0.000 0.629
Li1 0.500 0.500 0.990
Cl1 0.500 0.500 0.480

- Energy above the most stable polymorph in this dataset: 0.000 eV per atom
- SG: P4mm, No. 99
- DFT total energy: -5.837 eV/atom
- E (MP2020): -97.5 eV/cell
- E_form: -1.72 eV/atom


Record 10
Here is an optimized crystal structure of LiBi3PbWClO8 from the Materials Project database. Energies are from PBE+U.

abc: 3.982 3.982 14.993
angles: 90.00 90.00 90.00
Positions (direct):
Li1 0.500 0.500 0.325
W1 0.000 0.000 0.005
O1 0.500 0.000 0.297
O2 0.500 0.000 0.030
O3 0.000 0.500 0.030
O4 0.000 0.000 0.883
O5 0.000 0.500 0.705
O6 0.000 0.500 0.297
O7 0.000 0.000 0.143
O8 0.500 0.000 0.705
Bi1 0.000 0.000 0.634
Bi2 0.000 0.000 0.364
Bi3 0.500 0.500 0.142
Pb1 0.500 0.500 0.800
Cl1 0.500 0.500 0.495

- Energy above the most stable polymorph in this dataset: 0.056 eV per atom
- SG: P4mm, No. 99
- DFT total energy: -5.781 eV/atom
- E (MP2020): -96.7 eV/cell
- E_form: -1.66 eV/atom


Record 11
Here is an optimized crystal structure of LiBi3PbWClO8 from the Materials Project database. Energies are from PBE+U.

abc: 3.932 3.932 15.373
angles: 90.00 90.00 90.00
Positions (direct):
Pb1 0.500 0.500 0.810
Bi1 0.500 0.500 0.199
Bi2 0.000 0.000 0.399
Bi3 0.000 0.000 0.643
O1 0.500 0.000 0.709
O2 0.000 0.000 0.128
O3 0.500 0.000 0.003
O4 0.000 0.500 0.003
O5 0.000 0.500 0.284
O6 0.000 0.000 0.876
O7 0.500 0.000 0.284
O8 0.000 0.500 0.709
Cl1 0.500 0.500 0.478
Li1 0.000 0.000 0.239
W1 0.000 0.000 0.997

- Energy above the most stable polymorph in this dataset: 0.117 eV per atom
- SG: P4mm, No. 99
- DFT total energy: -5.720 eV/atom
- E (MP2020): -95.7 eV/cell
- E_form: -1.60 eV/atom


Record 12
Here is an optimized crystal structure of MnBi12W2Cl3O24 from the Materials Project database. Energies are from PBE+U.

abc: 8.905 8.905 15.505
angles: 69.75 69.75 36.05
Positions (direct):
O1 0.325 0.823 0.000
O2 0.037 0.037 0.861
O3 0.408 0.911 0.282
O4 0.596 0.099 0.718
O5 0.768 0.263 0.715
O6 0.696 0.696 0.865
O7 0.945 0.945 0.139
O8 0.263 0.768 0.715
O9 0.370 0.370 0.866
O10 0.436 0.926 0.713
O11 0.151 0.675 0.000
O12 0.485 0.987 0.000
O13 0.911 0.408 0.282
O14 0.073 0.578 0.285
O15 0.926 0.436 0.713
O16 0.987 0.485 0.000
O17 0.281 0.281 0.134
O18 0.099 0.596 0.718
O19 0.734 0.245 0.287
O20 0.675 0.151 0.000
O21 0.245 0.734 0.287
O22 0.605 0.605 0.135
O23 0.578 0.073 0.285
O24 0.823 0.325 0.000
Cl1 0.334 0.334 0.502
Cl2 0.002 0.002 0.499
Cl3 0.668 0.668 0.499
Bi1 0.886 0.886 0.361
Bi2 0.922 0.922 0.821
Bi3 0.458 0.458 0.641
Bi4 0.461 0.461 0.186
Bi5 0.143 0.143 0.175
Bi6 0.127 0.127 0.639
Bi7 0.803 0.803 0.179
Bi8 0.219 0.219 0.359
Bi9 0.259 0.259 0.825
Bi10 0.792 0.792 0.641
Bi11 0.585 0.585 0.814
Bi12 0.553 0.553 0.359
W1 0.663 0.663 0.000
W2 0.993 0.993 0.000
Mn1 0.330 0.330 0.000

- SG: Cm, No. 8
- DFT total energy: -6.008 eV/atom
- E (MP2020): -279.4 eV/cell
- E_form: -1.75 eV/atom


Which value of DFT total energy does entry 9 give?
-5.837 eV/atom